{"formula": "B13N2", "functional": "PBE-GGA", "state": "relaxed", "sg": "R-3m (166)", "crystal_system": "trigonal", "energy_mp2020_ev_per_atom": -7.15, "m_tot_mub_per_fu": 1.000, "formation_enthalpy_0k_ev_per_fu": -3.813, "cell": [[2.746, 1.585, 4.137], [-2.746, 1.585, 4.137], [0.000, -3.170, 4.137]], "species": ["B", "B", "B", "B", "B", "B", "B", "B", "B", "B", "B", "B", "B", "N", "N"], "fractional_positions": [[0.000, 0.000, 0.000], [0.169, 0.495, 0.495], [0.180, 0.697, 0.697], [0.303, 0.303, 0.820], [0.303, 0.820, 0.303], [0.495, 0.169, 0.495], [0.495, 0.495, 0.169], [0.505, 0.505, 0.831], [0.505, 0.831, 0.505], [0.697, 0.180, 0.697], [0.697, 0.697, 0.180], [0.820, 0.303, 0.303], [0.831, 0.505, 0.505], [0.115, 0.115, 0.115], [0.885, 0.885, 0.885]]}